(1)
The following is a PBE calculation of K2U2O7 after structural relaxation, from the Materials Project database.

```
K2U2O7
1.0
-6.9465 0.0000 0.0000
1.1433 7.0966 0.0000
-0.0236 -2.2470 -7.6907
O K U
14 4 4
Cartesian
-0.1259 1.1828 -2.4181 O
-1.3112 -1.0664 -4.2794 O
0.2204 0.1584 -6.3243 O
-2.2488 4.1161 -3.4634 O
-4.5156 5.9160 -3.4113 O
-4.3946 -1.5222 -5.8180 O
-2.2678 3.0729 -7.0094 O
-3.5590 1.7768 -0.6812 O
-1.3246 -1.9787 -7.3630 O
-6.0472 4.6913 -1.3664 O
-3.5779 0.7335 -4.2273 O
-1.4322 6.3718 -1.8727 O
-5.7008 3.6668 -5.2726 O
-4.5022 6.8283 -0.3277 O
-1.2654 3.2089 -0.9401 K
-1.1554 1.9967 -4.7729 K
-4.5614 1.6408 -6.7506 K
-4.6714 2.8529 -2.9178 K
-6.7480 -1.6378 -5.7937 U
-3.4850 -1.1235 -3.8453 U
-3.4732 0.0000 0.0000 U
0.9213 6.4874 -1.8970 U
```

Properties
SG = P-1, No. 2
Energy relative to the lowest polymorph listed for this composition = 5 meV/atom
ΔE_f = -3323 meV/atom
Final energy = -8.290 eV/atom
Volume = 379 Å³ per cell



(2)
The following is a PBE calculation of K2U7O22 after structural relaxation, from the Materials Project database.

```
K2U7O22
1.0
-5.1163 4.0267 2.5225
-4.9262 -5.2288 -1.6447
2.5252 -8.0141 17.9147
U O K
14 44 4
Cartesian
-2.4705 -5.8815 9.5864 U
-2.0248 1.0092 2.8562 U
-5.0468 -3.3347 9.2061 U
-0.8960 -3.6060 14.1475 U
-3.8101 0.5697 9.6005 U
-1.2955 -1.9937 10.2186 U
0.0000 0.0000 0.0000 U
-1.6951 -0.3814 6.2897 U
-4.4283 2.1874 6.3092 U
-3.5337 -2.0314 0.5308 U
-3.9836 -7.1848 18.2617 U
1.8372 -6.1748 14.1280 U
-0.5663 -4.9966 17.5810 U
1.2190 -4.5571 10.8367 U
-0.1027 -0.4898 1.8649 O
-1.0044 -0.3754 4.2015 O
-5.7510 -0.2748 1.5874 O
-4.3553 -8.8074 16.5325 O
-2.6018 -2.0117 14.1885 O
-5.6312 0.8430 5.9562 O
-1.7663 -8.9415 17.2051 O
-4.6639 -3.1454 7.4574 O
-2.4884 -3.4976 18.5723 O
-4.7072 -5.6150 9.0795 O
-3.1620 -0.4089 2.2600 O
-3.5222 2.6920 1.9910 O
-1.9682 -6.2736 17.3295 O
-3.4117 -3.6213 -1.1391 O
-5.5491 -2.9426 1.4630 O
-1.8861 -10.0593 12.8363 O
0.9311 -6.6794 18.4462 O
-4.9190 -0.9379 9.2045 O
0.6858 -4.7189 12.9480 O
-0.2111 -5.7446 10.3850 O
0.0108 -1.9757 6.2487 O
0.5847 -7.4367 13.6612 O
-1.8765 -0.9658 8.6908 O
-5.3870 -4.2906 4.9825 O
-4.6010 -7.5483 12.9850 O
-2.8100 -3.6013 9.7129 O
-7.3061 -3.4717 8.4075 O
-2.8533 -6.0709 11.3350 O
-1.5867 -3.6120 16.2357 O
-1.5145 -1.6076 -0.5057 O
-2.1381 -5.6354 7.8086 O
-2.5983 -8.2783 9.5880 O
-2.9333 1.2625 4.7721 O
-2.7397 -3.1470 1.6991 O
-0.7146 -3.0216 11.7464 O
0.2315 -3.1155 9.2113 O
-2.9162 -1.6680 5.8074 O
0.3422 -5.2499 15.6651 O
-4.7776 -6.0692 17.0933 O
-2.1302 -4.9257 13.8100 O
-8.1020 -1.7795 5.1313 O
-3.2769 0.7315 7.4892 O
-5.3791 -3.5808 10.9839 O
-2.8226 -0.8719 11.2259 O
-4.9172 -4.8534 13.6460 K
-5.4511 -1.4198 4.3294 K
-2.0661 -7.7964 14.4631 K
-2.6000 -4.3629 5.1464 K
```

Properties
SG = Pbam, No. 55
Total magnetization = 0.0 μB per cell
ΔE_f = -3473 meV/atom
Final energy = -9.118 eV/atom
Volume = 1018 Å³ per cell